Entry 1:
# Na14Y4Si9Ge4S3O48

A geometry-optimized Na14Y4Si9Ge4S3O48 structure (GGA-PBE, the Materials Project database).

M_tot	0.000	μB per atom
energy	-6.673	eV/atom
energy of formation	-2.665	eV/atom
ρ	3.219	Mg/m³

Cell lengths 9.1065, 15.8694, 22.3346 Å; angles 91.48, 90.07, 90.15 degrees
Last column: nearest neighbours and their distance in Å.
Sites, in units of the cell vectors:
Na 0.0000 0.0000 0.0000  5 O 2.36-2.60
Na 0.0023 0.3382 0.6575  7 O 2.49-2.74
Na 0.0170 0.6798 0.3215  6 O 2.46-2.67
Na 0.1354 0.8342 0.4070  6 O 2.49-2.79
Na 0.1358 0.5082 0.7365  6 O 2.43-2.65
Na 0.1389 0.1643 0.5728  6 O 2.38-2.59
Na 0.1432 0.5118 0.2304  4 O 2.35-2.54
Na 0.1469 0.1693 0.0768  6 O 2.43-2.55
Na 0.1521 0.8267 0.9149  4 O 2.38-2.59
Na 0.2566 0.6741 0.8282  5 O 2.37-2.61
Na 0.2706 0.0067 0.4916  5 O 2.47-2.55
Na 0.2886 0.3422 0.1519  5 O 2.44-2.72
Na 0.3135 0.6627 0.1565  7 O 2.46-2.72
Na 0.3186 0.6972 0.4856  6 O 2.44-2.72
Na 0.3214 0.3496 0.8310  3 O 2.37-2.44
Na 0.3399 0.9837 0.8141  5 O 2.39-2.65
Na 0.4474 0.4879 0.3101  3 O 2.35-2.61
Na 0.4601 0.8513 0.3185  3 O 2.36-2.41
Na 0.4633 0.1953 0.9902  6 O 2.47-2.69
Na 0.4671 0.1584 0.6592  5 O 2.38-2.66
Na 0.4955 0.8425 0.6513  4 O 2.42-2.69
Na 0.5120 0.5085 0.9953  5 O 2.45-2.54
Na 0.5274 0.1733 0.3240  6 O 2.38-2.59
Na 0.6281 0.3271 0.4081  5 O 2.44-2.66
Na 0.6363 0.0085 0.7326  5 O 2.36-2.63
Na 0.6357 0.6710 0.5747  6 O 2.42-2.51
Na 0.6377 0.0023 0.2331  6 O 2.45-2.72
Na 0.6418 0.6681 0.0736  6 O 2.42-2.60
Na 0.6460 0.3346 0.9131  5 O 2.49-2.72
Na 0.7618 0.1784 0.8285  6 O 2.48-2.72
Na 0.7797 0.8395 0.1546  6 O 2.45-2.72
Na 0.7820 0.5026 0.4909  4 O 2.35-2.59
Na 0.8166 0.1512 0.1584  5 O 2.40-2.68
Na 0.8203 0.1837 0.4833  7 O 2.45-2.72
Na 0.8220 0.8513 0.8290  3 O 2.28-2.43
Na 0.8326 0.8296 0.4847  4 O 2.44-2.63
Na 0.8346 0.4835 0.8220  6 O 2.36-2.59
Na 0.9451 0.9822 0.3175  6 O 2.40-2.52
Na 0.9482 0.3287 0.9892  4 O 2.44-2.69
Na 0.9604 0.3534 0.3249  2 O 2.29-2.33
Na 0.9617 0.6546 0.6605  6 O 2.44-2.68
Na 0.9630 0.6878 0.9907  6 O 2.48-2.71
Y 0.1340 0.5100 0.8888  5 O 2.10-2.34
Y 0.1368 0.1789 0.9291  5 O 2.10-2.31
Y 0.1442 0.8353 0.2473  5 O 2.17-2.27
Y 0.1470 0.5041 0.3866  6 O 2.13-2.34
Y 0.1505 0.8430 0.5602  6 O 2.14-2.32
Y 0.1564 0.8288 0.7533  6 O 2.15-2.35
Y 0.6261 0.3314 0.2533  6 O 2.12-2.33
Y 0.6307 0.3426 0.0609  6 O 2.14-2.31
Y 0.6390 0.0015 0.8901  5 O 2.12-2.35
Y 0.6433 0.6795 0.4259  5 O 2.09-2.31
Y 0.6468 0.3338 0.7505  6 O 2.14-2.38
Y 0.6478 0.0102 0.3876  5 O 2.10-2.30
Si 0.2785 0.3057 0.3236  4 O 1.63-1.65
Si 0.2825 0.3651 0.9920  4 O 1.62-1.68
Si 0.2982 0.6658 0.9883  4 O 1.63-1.67
Si 0.3003 0.9990 0.6571  4 O 1.60-1.68
Si 0.3026 0.6730 0.6541  4 O 1.62-1.68
Si 0.3494 0.6729 0.3197  4 O 1.63-1.67
Si 0.4307 0.1711 0.8207  4 O 1.62-1.68
Si 0.4373 0.8473 0.1534  4 O 1.61-1.69
Si 0.4788 0.1752 0.1548  4 O 1.63-1.66
Si 0.4803 0.4996 0.1566  4 O 1.60-1.68
Si 0.4859 0.1667 0.4901  4 O 1.62-1.69
Si 0.5000 0.8650 0.4924  4 O 1.61-1.69
Si 0.5049 0.8058 0.8235  4 O 1.63-1.66
Si 0.7861 0.8188 0.3163  4 O 1.63-1.67
Si 0.7866 0.1481 0.9933  4 O 1.63-1.66
Si 0.7865 0.4882 0.6535  4 O 1.60-1.68
Si 0.8003 0.1811 0.6537  4 O 1.61-1.69
Si 0.8003 0.8601 0.9916  4 O 1.63-1.68
Si 0.8446 0.5117 0.9860  4 O 1.62-1.68
Si 0.8686 0.1738 0.3219  4 O 1.63-1.67
Si 0.9130 0.6730 0.8215  4 O 1.63-1.68
Si 0.9377 0.0120 0.4867  4 O 1.61-1.69
Si 0.9815 0.6818 0.1536  4 O 1.62-1.68
Si 0.9901 0.6523 0.4909  4 O 1.62-1.68
Si 0.9955 0.3609 0.4914  4 O 1.60-1.69
Si 0.9976 0.9889 0.1544  4 O 1.60-1.67
Si 0.9994 0.3175 0.8166  4 O 1.62-1.69
Ge 0.1205 0.5093 0.5888  4 O 1.77-1.87
Ge 0.1293 0.8303 0.0634  5 O 1.85-1.95
Ge 0.1361 0.1863 0.4333  5 O 1.82-1.99
Ge 0.1400 0.1689 0.7200  5 O 1.82-2.02
Ge 0.1450 0.1645 0.2201  5 O 1.83-1.96
Ge 0.1541 0.5243 0.0801  5 O 1.82-2.00
Ge 0.6223 0.6863 0.2104  5 O 1.82-1.98
Ge 0.6298 0.0239 0.5801  4 O 1.82-1.89
Ge 0.6365 0.6651 0.7198  5 O 1.82-2.00
Ge 0.6486 0.6870 0.9342  5 O 1.84-1.98
Ge 0.6546 0.0015 0.0936  5 O 1.84-1.89
Ge 0.6748 0.3313 0.5582  4 O 1.83-1.84
S 0.2788 0.0324 0.3234  4 O 1.47-1.50
S 0.3407 0.3414 0.6531  4 O 1.48-1.51
S 0.3429 0.9991 0.9920  4 O 1.47-1.50
S 0.4371 0.4981 0.4937  4 O 1.48-1.50
S 0.5001 0.5313 0.8211  4 O 1.46-1.50
S 0.7865 0.5256 0.3196  4 O 1.46-1.50
S 0.8290 0.8375 0.6586  4 O 1.46-1.51
S 0.9535 0.3374 0.1584  4 O 1.46-1.51
S 0.9952 0.0268 0.8177  4 O 1.48-1.49
O 0.0017 0.4149 0.4318  1 Si 1.60
O 0.0065 0.9362 0.2146  1 Si 1.60
O 0.0097 0.7521 0.0996  1 Si 1.68, 1 Ge 1.85
O 0.0132 0.7593 0.8201  1 Si 1.65
O 0.0197 0.2640 0.8769  1 Si 1.62
O 0.0225 0.5918 0.8185  1 Si 1.63
O 0.0294 0.0813 0.7659  1 S 1.49
O 0.0354 0.5901 0.5477  1 Si 1.68, 1 Ge 1.77
O 0.0363 0.9294 0.4982  1 Si 1.62
O 0.0445 0.0988 0.4836  1 Si 1.69
O 0.0438 0.2580 0.1602  1 S 1.51
O 0.0496 0.4110 0.1555  1 S 1.46
O 0.0537 0.0626 0.8745  1 S 1.48
O 0.0552 0.7471 0.4978  1 Si 1.62
O 0.0615 0.0871 0.1605  1 Si 1.66
O 0.0624 0.2650 0.4889  1 Si 1.64
O 0.0616 0.6151 0.4294  1 Si 1.62
O 0.0616 0.9421 0.8108  1 S 1.48
O 0.0650 0.5911 0.1383  1 Si 1.66, 1 Ge 1.85
O 0.0672 0.2630 0.7570  1 Si 1.69, 1 Ge 1.82
O 0.0702 0.4098 0.5505  1 Si 1.66, 1 Ge 1.83
O 0.0703 0.7136 0.2129  1 Si 1.62
O 0.0716 0.9368 0.0964  1 Si 1.66
O 0.0856 0.4075 0.8139  1 Si 1.63
O 0.2020 0.2730 0.9976  1 Si 1.64
O 0.2036 0.3988 0.3236  1 Si 1.63
O 0.2079 0.4215 0.0486  1 Si 1.68, 1 Ge 1.83
O 0.2094 0.7547 0.0038  1 Si 1.66
O 0.2109 0.7090 0.7124  1 Si 1.64
O 0.2137 0.9473 0.3191  1 S 1.47
O 0.2147 0.2577 0.2624  1 Si 1.65, 1 Ge 1.85
O 0.2166 0.6308 0.9277  1 Si 1.63
O 0.2198 0.5792 0.6424  1 Si 1.68, 1 Ge 1.85
O 0.2223 0.0725 0.3792  1 S 1.48
O 0.2240 0.0952 0.6652  1 Si 1.68, 1 Ge 1.84
O 0.2251 0.9616 0.5973  1 Si 1.60
O 0.2402 0.4143 0.6463  1 S 1.49
O 0.2446 0.9254 0.9960  1 S 1.47
O 0.2463 0.0812 0.2685  1 S 1.50
O 0.2464 0.2502 0.3837  1 Si 1.65, 1 Ge 1.82
O 0.2494 0.2621 0.6534  1 S 1.51
O 0.2496 0.5858 0.3148  1 Si 1.65
O 0.2496 0.7585 0.3200  1 Si 1.64
O 0.2509 0.0774 0.9914  1 S 1.50
O 0.2578 0.4109 0.9286  1 Si 1.62
O 0.2754 0.5989 0.0438  1 Si 1.67, 1 Ge 1.82
O 0.2795 0.9361 0.7139  1 Si 1.65
O 0.2868 0.7383 0.5997  1 Si 1.62
O 0.2985 0.1723 0.1664  1 Si 1.66, 1 Ge 1.85
O 0.2984 0.5082 0.1465  1 Si 1.68
O 0.3048 0.1657 0.4836  1 Si 1.66
O 0.3050 0.8230 0.1046  1 Si 1.66, 1 Ge 1.85
O 0.3145 0.1632 0.7624  1 Si 1.68, 1 Ge 1.85
O 0.3234 0.8508 0.4948  1 Si 1.63
O 0.3249 0.8178 0.8227  1 Si 1.65
O 0.3308 0.5085 0.5438  1 S 1.49
O 0.3367 0.5252 0.8210  1 S 1.49
O 0.3433 0.1775 0.8839  1 Si 1.62
O 0.3603 0.4882 0.4353  1 S 1.48
O 0.3680 0.8650 0.2188  1 Si 1.61
O 0.4154 0.3539 0.7115  1 S 1.48
O 0.4191 0.9902 0.9326  1 S 1.50
O 0.4336 0.6750 0.3843  1 Si 1.63
O 0.4421 0.0266 0.3236  1 S 1.49
O 0.4488 0.0099 0.0411  1 S 1.47
O 0.4499 0.3297 0.6037  1 S 1.49
O 0.4582 0.3179 0.3233  1 Si 1.65
O 0.4592 0.3509 0.9937  1 Si 1.63
O 0.4645 0.6679 0.2618  1 Si 1.67
O 0.4802 0.6649 0.9822  1 Si 1.66
O 0.4816 0.0090 0.6479  1 Si 1.67
O 0.4830 0.6703 0.6658  1 Si 1.66, 1 Ge 1.85
O 0.4917 0.2415 0.1005  1 Si 1.63
O 0.4987 0.4354 0.2131  1 Si 1.65
O 0.5090 0.1011 0.5463  1 Si 1.66, 1 Ge 1.83
O 0.5232 0.9146 0.4309  1 Si 1.61
O 0.5269 0.2585 0.8179  1 Si 1.64
O 0.5288 0.5768 0.4935  1 S 1.50
O 0.5337 0.0858 0.8165  1 Si 1.65
O 0.5336 0.5804 0.7663  1 S 1.50
O 0.5356 0.4246 0.4985  1 S 1.48
O 0.5380 0.7495 0.8828  1 Si 1.64, 1 Ge 1.84
O 0.5377 0.7582 0.1547  1 Si 1.69, 1 Ge 1.88
O 0.5550 0.4606 0.0972  1 Si 1.60
O 0.5546 0.5947 0.1652  1 Si 1.66, 1 Ge 1.85
O 0.5560 0.9223 0.1395  1 Si 1.64
O 0.5594 0.5694 0.8765  1 S 1.46
O 0.5622 0.4452 0.8149  1 S 1.48
O 0.5638 0.0847 0.1430  1 Si 1.65
O 0.5675 0.2129 0.2137  1 Si 1.64
O 0.5667 0.7585 0.7615  1 Si 1.66, 1 Ge 1.84
O 0.5725 0.2584 0.5080  1 Si 1.69, 1 Ge 1.84
O 0.5741 0.1349 0.4307  1 Si 1.62
O 0.5735 0.9207 0.5506  1 Si 1.69, 1 Ge 1.82
O 0.5798 0.7729 0.4969  1 Si 1.64
O 0.5798 0.8996 0.8230  1 Si 1.63
O 0.6991 0.9090 0.3153  1 Si 1.64
O 0.7101 0.4342 0.5956  1 Si 1.68, 1 Ge 1.84
O 0.7114 0.2151 0.7119  1 Si 1.61
O 0.7153 0.7649 0.2577  1 Si 1.67, 1 Ge 1.82
O 0.7163 0.0912 0.6391  1 Si 1.64
O 0.7207 0.4392 0.3148  1 S 1.50
O 0.7225 0.5853 0.6587  1 Si 1.65
O 0.7221 0.9102 0.0475  1 Si 1.63
O 0.7241 0.1157 0.9279  1 Si 1.64
O 0.7244 0.2441 0.9992  1 Si 1.63
O 0.7265 0.7648 0.9879  1 Si 1.65, 1 Ge 1.84
O 0.7332 0.5593 0.3787  1 S 1.49
O 0.7333 0.9113 0.6561  1 S 1.46
O 0.7340 0.0840 0.0466  1 Si 1.66, 1 Ge 1.84
O 0.7371 0.7579 0.6601  1 S 1.51
O 0.7390 0.5984 0.9827  1 Si 1.68
O 0.7455 0.4286 0.9974  1 Si 1.62
O 0.7482 0.5790 0.2700  1 S 1.46
O 0.7587 0.0926 0.3193  1 Si 1.63
O 0.7643 0.7670 0.3780  1 Si 1.63
O 0.7689 0.2600 0.3211  1 Si 1.64
O 0.7764 0.4343 0.7129  1 Si 1.60
O 0.7782 0.2537 0.6003  1 Si 1.69, 1 Ge 1.83
O 0.7900 0.9113 0.9295  1 Si 1.63
O 0.8014 0.6806 0.1603  1 Si 1.65
O 0.8086 0.0328 0.5382  1 Si 1.67
O 0.8110 0.6834 0.8826  1 Si 1.66
O 0.8122 0.3483 0.4997  1 Si 1.69, 1 Ge 1.83
O 0.8118 0.6497 0.4948  1 Si 1.63
O 0.8118 0.6591 0.7590  1 Si 1.68, 1 Ge 1.82
O 0.8162 0.0004 0.1456  1 Si 1.67, 1 Ge 1.87
O 0.8219 0.3309 0.8148  1 Si 1.63
O 0.8332 0.0188 0.8184  1 S 1.48
O 0.8580 0.9917 0.4235  1 Si 1.61
O 0.8589 0.3456 0.2126  1 S 1.49
O 0.8598 0.3257 0.1040  1 S 1.49
O 0.9211 0.4907 0.9218  1 Si 1.62
O 0.9219 0.8257 0.6042  1 S 1.49
O 0.9237 0.8451 0.7127  1 S 1.49
O 0.9499 0.5159 0.3204  1 S 1.50
O 0.9635 0.8316 0.3144  1 Si 1.63
O 0.9657 0.1473 0.9966  1 Si 1.63
O 0.9686 0.1843 0.3844  1 Si 1.67
O 0.9697 0.4970 0.6449  1 Si 1.68, 1 Ge 1.87
O 0.9709 0.1601 0.2605  1 Si 1.67, 1 Ge 1.83
O 0.9756 0.5318 0.0364  1 Si 1.66
O 0.9802 0.1790 0.6618  1 Si 1.65
O 0.9811 0.8469 0.0019  1 Si 1.68

***

Entry 2:
# Na5MgTi3SiP5O24

A geometry-optimized Na5MgTi3SiP5O24 structure (GGA-PBE, the Materials Project database).

M_tot	0.000	μB per atom
energy	-7.208	eV/atom
energy of formation	-2.935	eV/atom
ρ	2.845	Mg/m³

Cell lengths 8.7714, 8.8243, 22.1518 Å; angles 90.27, 90.01, 119.80 degrees
Last column: nearest neighbours and their distance in Å.
Sites, in units of the cell vectors:
Na 0.0000 0.0000 0.0000  5 O 2.40-2.57
Na 0.0011 0.2658 0.5000  5 O 2.37-2.49
Na 0.0073 0.6417 0.7509  6 O 2.43-2.61
Na 0.0138 0.6465 0.2441  6 O 2.46-2.67
Na 0.0357 0.9755 0.6626  4 O 2.36-2.47
Na 0.3400 0.3060 0.0857  6 O 2.47-2.64
Na 0.3457 0.3131 0.5836  6 O 2.51-2.63
Na 0.3750 0.6470 0.9999  5 O 2.39-2.55
Na 0.3779 0.0059 0.4989  5 O 2.37-2.54
Na 0.6414 0.6441 0.4989  5 O 2.35-2.53
Na 0.6458 0.2707 0.0003  5 O 2.39-2.55
Na 0.6663 0.9640 0.9136  6 O 2.51-2.60
Na 0.6735 0.9661 0.4097  6 O 2.40-2.63
Na 0.7066 0.3052 0.3267  4 O 2.31-2.47
Na 0.9744 0.3109 0.8321  5 O 2.31-2.55
Mg 0.0082 0.6455 0.8934  6 O 1.98-2.13
Mg 0.6733 0.9727 0.0654  6 O 1.99-2.15
Mg 0.6752 0.9727 0.5644  6 O 1.97-2.17
Ti 0.0057 0.6405 0.1029  6 O 1.97-2.02
Ti 0.0066 0.6284 0.6041  5 O 1.84-2.02
Ti 0.0120 0.6492 0.3886  5 O 1.85-2.01
Ti 0.3423 0.3116 0.7271  6 O 1.89-2.03
Ti 0.3426 0.3070 0.9310  6 O 1.91-2.05
Ti 0.3443 0.3088 0.4268  3 O 1.83-1.90
Ti 0.3452 0.3022 0.2263  6 O 1.86-2.04
Ti 0.6675 0.9599 0.2642  5 O 1.88-2.06
Ti 0.6723 0.9748 0.7643  6 O 1.87-2.08
Si 0.3409 0.0147 0.3282  4 O 1.61-1.68
Si 0.6291 0.6003 0.3288  4 O 1.61-1.67
Si 0.9645 0.2634 0.6625  4 O 1.60-1.66
P 0.0067 0.3501 0.9951  4 O 1.52-1.59
P 0.0083 0.9282 0.4970  4 O 1.54-1.56
P 0.0511 0.0129 0.8286  4 O 1.49-1.59
P 0.0527 0.3058 0.3290  4 O 1.51-1.58
P 0.2940 0.6384 0.4963  4 O 1.53-1.56
P 0.2962 0.9275 0.9958  4 O 1.50-1.60
P 0.3452 0.5996 0.8297  4 O 1.52-1.58
P 0.3808 0.6772 0.1617  4 O 1.52-1.58
P 0.3843 0.9744 0.6623  4 O 1.52-1.57
P 0.6295 0.3051 0.8290  4 O 1.51-1.58
P 0.6701 0.6796 0.6623  4 O 1.52-1.57
P 0.6752 0.2644 0.1630  4 O 1.52-1.57
P 0.7188 0.3517 0.4958  4 O 1.53-1.57
P 0.7191 0.6404 0.9957  4 O 1.50-1.60
P 0.9669 0.9752 0.1621  4 O 1.52-1.57
O 0.0292 0.4682 0.3385  1 P 1.56
O 0.0339 0.8363 0.8334  1 P 1.49
O 0.0418 0.8470 0.5538  1 P 1.55
O 0.0429 0.4732 0.0508  1 P 1.56
O 0.1377 0.2783 0.3881  1 P 1.58
O 0.1395 0.1371 0.8856  1 P 1.59
O 0.1503 0.1367 0.1720  1 P 1.54
O 0.1599 0.2852 0.6745  1 Si 1.65
O 0.1646 0.1092 0.7729  1 P 1.55
O 0.1690 0.8231 0.3381  1 Si 1.63
O 0.1713 0.3385 0.2752  1 P 1.51
O 0.1749 0.1131 0.4909  1 P 1.56
O 0.1745 0.6079 0.5526  1 P 1.56
O 0.1746 0.8439 0.0522  1 P 1.57
O 0.1762 0.6067 0.8340  1 P 1.52
O 0.1789 0.3333 0.9902  1 P 1.59
O 0.1950 0.8111 0.6576  1 P 1.57
O 0.1962 0.6637 0.1571  1 P 1.57
O 0.2036 0.6661 0.4414  1 P 1.54
O 0.2168 0.8143 0.9409  1 P 1.50
O 0.3070 0.1105 0.2724  1 Si 1.61
O 0.3092 0.4696 0.4924  1 P 1.56
O 0.3128 0.1154 0.9899  1 P 1.60
O 0.3179 0.4758 0.7754  1 P 1.56
O 0.3566 0.1334 0.6724  1 P 1.55
O 0.3582 0.4952 0.1728  1 P 1.54
O 0.3713 0.5085 0.8871  1 P 1.58
O 0.3747 0.1394 0.3896  1 Si 1.68, 1 Ti 1.84
O 0.4736 0.8007 0.2178  1 P 1.58
O 0.4743 0.9431 0.7177  1 P 1.56
O 0.4771 0.8000 0.5011  1 P 1.53
O 0.4837 0.9571 0.0034  1 P 1.54
O 0.4864 0.7527 0.1046  1 P 1.52
O 0.4876 0.0048 0.6043  1 P 1.52
O 0.5102 0.5090 0.3907  1 Si 1.67, 1 Ti 1.83
O 0.5109 0.2876 0.1711  1 P 1.56
O 0.5120 0.7785 0.8229  1 P 1.54
O 0.5131 0.4954 0.6731  1 P 1.54
O 0.5139 0.2783 0.8870  1 P 1.58
O 0.5214 0.0066 0.3226  1 Si 1.62
O 0.5309 0.4689 0.9903  1 P 1.60
O 0.5324 0.3258 0.7749  1 P 1.53
O 0.5328 0.3366 0.4927  1 P 1.57
O 0.5369 0.4645 0.2738  1 Si 1.61
O 0.6373 0.7500 0.6042  1 P 1.52
O 0.6437 0.1353 0.8241  1 P 1.57
O 0.6436 0.1596 0.1052  1 P 1.52
O 0.6533 0.7933 0.3227  1 Si 1.62
O 0.6893 0.7972 0.0032  1 P 1.54
O 0.6955 0.1679 0.5008  1 P 1.53
O 0.7032 0.1798 0.2203  1 P 1.56
O 0.7056 0.8052 0.7172  1 P 1.56
O 0.8034 0.6035 0.0523  1 P 1.57
O 0.8088 0.4733 0.5516  1 P 1.56
O 0.8125 0.4619 0.8336  1 P 1.51
O 0.8182 0.6072 0.3391  1 Si 1.64
O 0.8314 0.6719 0.9409  1 P 1.50
O 0.8327 0.4363 0.4398  1 P 1.54
O 0.8411 0.1698 0.7228  1 Si 1.66
O 0.8418 0.4512 0.1570  1 P 1.57
O 0.8423 0.9450 0.4988  1 P 1.54
O 0.8440 0.6704 0.6575  1 P 1.57
O 0.8450 0.9452 0.2178  1 P 1.57
O 0.8491 0.1648 0.0026  1 P 1.54
O 0.8671 0.1455 0.3243  1 P 1.54
O 0.8699 0.0077 0.8239  1 P 1.57
O 0.8926 0.0036 0.1042  1 P 1.52
O 0.8970 0.1474 0.6026  1 Si 1.60
O 0.9755 0.4262 0.9382  1 P 1.52
O 0.9817 0.8074 0.4418  1 P 1.56
O 0.9841 0.8063 0.1573  1 P 1.57
O 0.9850 0.4593 0.6570  1 Si 1.65, 1 Ti 1.84

***

Entry 3:
# MgCu4As2Cl2O8

A geometry-optimized MgCu4As2Cl2O8 structure (GGA-PBE, the Materials Project database).

M_tot	0.117	μB per atom
energy	-5.183	eV/atom
energy of formation	-1.354	eV/atom
ρ	4.418	Mg/m³

Cell lengths 4.8410, 6.6500, 7.3557 Å; angles 93.46, 93.81, 91.48 degrees
Last column: nearest neighbours and their distance in Å.
Sites, in units of the cell vectors:
Mg 0.0000 0.0000 0.0000  4 O 2.08-2.09
Cu 0.0000 0.5000 0.0000  4 O 2.01-2.03
Cu 0.0000 0.5000 0.5000  2 O 1.93
Cu 0.3697 0.7831 0.2878  3 O 2.02-2.13
Cu 0.6303 0.2169 0.7122  3 O 2.02-2.13
As 0.4700 0.7226 0.7697  4 O 1.72-1.75
As 0.5300 0.2774 0.2303  4 O 1.72-1.75
Cl 0.1547 0.2129 0.7375  2 Cu 2.32-2.53
Cl 0.8453 0.7871 0.2625  2 Cu 2.32-2.53
O 0.2150 0.7417 0.9263  1 As 1.75
O 0.3019 0.6929 0.5548  1 As 1.73, 1 Cu 1.93
O 0.3110 0.4774 0.1968  1 As 1.74
O 0.3206 0.0629 0.2004  1 As 1.72
O 0.6794 0.9371 0.7996  1 As 1.72
O 0.6890 0.5226 0.8032  1 As 1.74
O 0.6981 0.3071 0.4452  1 As 1.73, 1 Cu 1.93
O 0.7850 0.2583 0.0737  1 As 1.75

***

- Which of these has the highest ρ?
  MgCu4As2Cl2O8

***

- Which formula does entry 1 have?
  Na14Y4Si9Ge4S3O48